Density functional theory data (PBE-GGA) for a relaxed structure of Ba10Pr5Sn2Sb3O30.

volume: 835 Å³ per cell
energy with MP2020 corrections: -357.84 eV/cell
energy of formation from the pure elements: -2.92 eV per atom

a b c (Å): 8.759 10.675 10.718
angles (deg): 80.40 65.90 65.93
Space group P-1 (No. 2)
Inequivalent atoms, fractional coordinates:
Ba (0.050, 0.300, 0.100) (multiplicity 2)
Ba (0.151, 0.900, 0.300) (multiplicity 2)
Ba (0.252, 0.500, 0.500) (multiplicity 2)
Ba (0.350, 0.101, 0.700) (multiplicity 2)
Ba (0.450, 0.699, 0.900) (multiplicity 2)
Pr (0.099, 0.600, 0.202) (multiplicity 2)
Pr (0.299, 0.801, 0.601) (multiplicity 2)
Pr (0.500, 0.000, 0.000) (multiplicity 1)
Sn (0.400, 0.400, 0.799) (multiplicity 2)
Sb (0.000, 0.000, 0.000) (multiplicity 1)
Sb (0.200, 0.200, 0.400) (multiplicity 2)
O (0.017, 0.823, 0.106) (multiplicity 2)
O (0.022, 0.794, 0.621) (multiplicity 2)
O (0.042, 0.306, 0.576) (multiplicity 2)
O (0.158, 0.894, 0.824) (multiplicity 2)
O (0.171, 0.407, 0.779) (multiplicity 2)
O (0.182, 0.377, 0.295) (multiplicity 2)
O (0.218, 0.023, 0.505) (multiplicity 2)
O (0.223, 0.993, 0.021) (multiplicity 2)
O (0.237, 0.510, 0.982) (multiplicity 2)
O (0.359, 0.094, 0.223) (multiplicity 2)
O (0.372, 0.607, 0.177) (multiplicity 2)
O (0.382, 0.583, 0.690) (multiplicity 2)
O (0.418, 0.218, 0.909) (multiplicity 2)
O (0.423, 0.193, 0.421) (multiplicity 2)
O (0.436, 0.710, 0.383) (multiplicity 2)

Density functional theory data (PBE-GGA) for a relaxed structure of MgScBO4.

volume: 297 Å³ per cell
energy with MP2020 corrections: -231.42 eV/cell
energy of formation from the pure elements: -3.35 eV per atom

a b c (Å): 3.262 9.526 9.542
angles (deg): 90.00 90.00 90.00
Space group Pmc2_1 (No. 26)
Inequivalent atoms, fractional coordinates:
Mg (0.000, 0.058, 0.000) (multiplicity 2)
Mg (0.000, 0.319, 0.521) (multiplicity 2)
Sc (0.500, 0.167, 0.294) (multiplicity 2)
Sc (0.500, 0.443, 0.805) (multiplicity 2)
B (0.000, 0.372, 0.077) (multiplicity 2)
B (0.500, 0.126, 0.728) (multiplicity 2)
O (0.000, 0.134, 0.412) (multiplicity 2)
O (0.000, 0.241, 0.136) (multiplicity 2)
O (0.000, 0.385, 0.931) (multiplicity 2)
O (0.000, 0.497, 0.155) (multiplicity 2)
O (0.500, 0.004, 0.645) (multiplicity 2)
O (0.500, 0.110, 0.872) (multiplicity 2)
O (0.500, 0.259, 0.665) (multiplicity 2)
O (0.500, 0.368, 0.388) (multiplicity 2)

Density functional theory data (PBE-GGA) for a relaxed structure of Li2MnN2.

volume: 302 Å³ per cell
distance to the lowest polymorph of the same formula: 0.0785 eV/atom
energy with MP2020 corrections: -192.85 eV/cell
energy of formation from the pure elements: -0.50 eV per atom

a b c (Å): 5.224 11.817 4.931
angles (deg): 90.00 97.03 90.00
Space group C2/m (No. 12)
Inequivalent atoms, fractional coordinates:
Li (0.093, 0.000, 0.280) (multiplicity 4)
Li (0.159, 0.185, 0.813) (multiplicity 8)
Mn (0.000, 0.406, 0.500) (multiplicity 4)
Mn (0.000, 0.500, 0.000) (multiplicity 2)
N (0.192, 0.357, 0.794) (multiplicity 8)
N (0.233, 0.500, 0.337) (multiplicity 4)

Density functional theory data (PBE-GGA) for a relaxed structure of SrZnSb2.

volume: 459 Å³ per cell
energy with MP2020 corrections: -55.39 eV/cell
energy of formation from the pure elements: -0.66 eV per atom

a b c (Å): 23.050 4.444 4.486
angles (deg): 90.00 90.00 90.00
Space group Pnma (No. 62)
Inequivalent atoms, fractional coordinates:
Sr (0.116, 0.250, 0.228) (multiplicity 4)
Zn (0.250, 0.250, 0.725) (multiplicity 4)
Sb (0.001, 0.250, 0.716) (multiplicity 4)
Sb (0.176, 0.750, 0.726) (multiplicity 4)

Density functional theory data (PBE-GGA) for a relaxed structure of HfZnPt2.

volume: 267 Å³ per cell
energy of formation from the pure elements: -0.87 eV per atom

a b c (Å): 6.437 6.437 6.437
angles (deg): 90.00 90.00 90.00
Space group Fm-3m (No. 225)
Inequivalent atoms, fractional coordinates:
Hf (0.000, 0.000, 0.000) (multiplicity 4)
Zn (0.000, 0.000, 0.500) (multiplicity 4)
Pt (0.250, 0.250, 0.250) (multiplicity 8)